Version w
Compound: Mn2O3F
Source: the Materials Project database
Functional: PBE+U
Structure: optimized geometry

Space group: C2 (5)

Unit cell a=5.494 b=5.494 c=7.043 alpha=73.64 beta=73.64 gamma=74.16
Fractional coordinates of all 18 atoms:
Mn 0.665 0.666 0.835
Mn 0.312 0.353 0.666
Mn 0.647 0.688 0.334
Mn 0.334 0.335 0.165
Mn 0.018 0.982 0.500
Mn 0.029 0.971 0.000
O 0.902 0.897 0.296
O 0.551 0.575 0.628
O 0.239 0.223 0.958
O 0.103 0.098 0.704
O 0.777 0.761 0.042
O 0.425 0.449 0.372
O 0.366 0.981 0.327
O 0.019 0.634 0.673
O 0.315 0.685 0.000
F 0.627 0.056 0.657
F 0.944 0.373 0.343
F 0.726 0.274 0.000

---

Version x
Compound: Mn2O3F
Source: the Materials Project database
Functional: PBE+U
Structure: optimized geometry

Space group: Cmcm (63)

Unit cell a=4.590 b=4.590 c=12.073 alpha=90.00 beta=90.00 gamma=92.84
Fractional coordinates of all 24 atoms:
Mn 0.000 0.000 0.000
Mn 0.989 0.011 0.250
Mn 0.000 0.000 0.500
Mn 0.011 0.989 0.750
Mn 0.480 0.520 0.625
Mn 0.520 0.480 0.125
Mn 0.520 0.480 0.375
Mn 0.480 0.520 0.875
O 0.189 0.811 0.624
O 0.189 0.811 0.876
O 0.309 0.309 0.000
O 0.318 0.293 0.250
O 0.309 0.309 0.500
O 0.293 0.318 0.750
O 0.691 0.691 0.000
O 0.707 0.682 0.250
O 0.691 0.691 0.500
O 0.682 0.707 0.750
O 0.811 0.189 0.124
O 0.811 0.189 0.376
F 0.210 0.790 0.131
F 0.210 0.790 0.369
F 0.790 0.210 0.631
F 0.790 0.210 0.869

---

It is version x that is the least stable of them.

---

Version w
Compound: Ba2CoMoO6
Source: the Materials Project database
Functional: PBE+U
Structure: optimized geometry

Unit cell a=5.735 b=9.997 c=5.849 alpha=91.28 beta=119.35 gamma=73.34
Fractional coordinates of all 20 atoms:
Ba 0.250 0.125 0.625
Ba 0.250 0.625 0.125
Ba 0.750 0.375 0.875
Ba 0.750 0.875 0.375
Co 0.000 0.500 0.500
Co 0.000 0.000 0.000
Mo 0.500 0.750 0.750
Mo 0.500 0.250 0.250
O 0.732 0.634 0.098
O 0.732 0.134 0.598
O 0.268 0.866 0.402
O 0.268 0.366 0.902
O 0.742 0.871 0.871
O 0.742 0.371 0.371
O 0.742 0.629 0.629
O 0.742 0.129 0.129
O 0.258 0.871 0.871
O 0.258 0.371 0.371
O 0.258 0.629 0.629
O 0.258 0.129 0.129

---

Version x
Compound: Ba2CoMoO6
Source: the Materials Project database
Functional: PBE+U
Structure: optimized geometry

Unit cell a=5.802 b=5.805 c=10.058 alpha=73.23 beta=90.02 gamma=119.96
Fractional coordinates of all 20 atoms:
Ba 0.625 0.250 0.125
Ba 0.125 0.250 0.625
Ba 0.875 0.750 0.375
Ba 0.375 0.750 0.875
Co 0.500 0.000 0.500
Co 0.000 0.000 0.000
Mo 0.750 0.500 0.750
Mo 0.250 0.500 0.250
O 0.130 0.261 0.131
O 0.631 0.262 0.631
O 0.369 0.261 0.369
O 0.869 0.261 0.870
O 0.608 0.739 0.131
O 0.108 0.739 0.631
O 0.369 0.738 0.369
O 0.870 0.739 0.869
O 0.131 0.739 0.130
O 0.631 0.739 0.631
O 0.892 0.261 0.369
O 0.392 0.261 0.869

---

It is version w that is the least stable of them.

---

Version w
Compound: Li3Mn2Si2O8
Source: the Materials Project database
Functional: PBE+U
Structure: optimized geometry

Space group: P2_1 (4)

Unit cell a=10.616 b=5.102 c=6.688 alpha=89.84 beta=90.00 gamma=90.00
Fractional coordinates of all 30 atoms:
Li 0.841 0.565 0.756
Li 0.341 0.435 0.244
Li 0.659 0.066 0.248
Li 0.423 0.045 0.484
Li 0.923 0.955 0.516
Li 0.159 0.934 0.752
Mn 0.341 0.448 0.753
Mn 0.841 0.552 0.247
Mn 0.157 0.929 0.238
Mn 0.657 0.071 0.762
Si 0.911 0.067 0.995
Si 0.411 0.933 0.005
Si 0.591 0.561 0.501
Si 0.091 0.439 0.499
O 0.346 0.048 0.794
O 0.842 0.953 0.791
O 0.889 0.387 0.996
O 0.060 0.995 0.990
O 0.389 0.613 0.004
O 0.560 0.005 0.010
O 0.342 0.047 0.209
O 0.846 0.952 0.206
O 0.166 0.547 0.299
O 0.666 0.446 0.305
O 0.444 0.448 0.499
O 0.591 0.886 0.504
O 0.944 0.552 0.501
O 0.091 0.114 0.496
O 0.166 0.554 0.695
O 0.666 0.453 0.701

---

Version x
Compound: Li3Mn2Si2O8
Source: the Materials Project database
Functional: PBE+U
Structure: optimized geometry

Space group: P1 (1)

Unit cell a=6.594 b=7.678 c=7.168 alpha=90.82 beta=92.42 gamma=88.51
Fractional coordinates of all 30 atoms:
Li 0.996 0.492 0.810
Li 0.995 0.992 0.310
Li 0.755 0.192 0.000
Li 0.755 0.692 0.500
Li 0.248 0.811 0.002
Li 0.248 0.312 0.502
Mn 0.266 0.690 0.502
Mn 0.733 0.821 0.980
Mn 0.266 0.189 0.002
Mn 0.734 0.321 0.481
Si 0.003 0.499 0.177
Si 0.005 0.999 0.677
Si 0.500 0.495 0.833
Si 0.499 0.995 0.333
O 0.212 0.496 0.304
O 0.214 0.996 0.804
O 0.814 0.498 0.322
O 0.816 0.998 0.823
O 0.995 0.332 0.030
O 0.995 0.833 0.530
O 0.978 0.675 0.038
O 0.979 0.175 0.539
O 0.518 0.322 0.959
O 0.518 0.823 0.460
O 0.507 0.677 0.963
O 0.507 0.178 0.461
O 0.280 0.501 0.713
O 0.279 0.999 0.213
O 0.695 0.499 0.690
O 0.694 0.999 0.189

---

Version y
Compound: Li3Mn2Si2O8
Source: the Materials Project database
Functional: PBE+U
Structure: optimized geometry

Space group: P1 (1)

Unit cell a=6.735 b=7.292 c=7.219 alpha=97.59 beta=89.72 gamma=88.40
Fractional coordinates of all 30 atoms:
Li 0.981 0.655 0.855
Li 0.009 0.154 0.323
Li 0.513 0.595 0.385
Li 0.481 0.099 0.918
Li 0.770 0.810 0.167
Li 0.766 0.335 0.671
Mn 0.002 0.052 0.877
Mn 0.511 0.176 0.349
Mn 0.038 0.602 0.424
Mn 0.477 0.632 0.800
Si 0.236 0.344 0.687
Si 0.253 0.841 0.156
Si 0.759 0.403 0.081
Si 0.753 0.921 0.598
O 0.033 0.855 0.049
O 0.042 0.359 0.550
O 0.230 0.527 0.849
O 0.265 0.038 0.290
O 0.270 0.668 0.275
O 0.247 0.149 0.771
O 0.444 0.833 0.002
O 0.454 0.393 0.585
O 0.559 0.292 0.117
O 0.586 0.766 0.609
O 0.786 0.566 0.262
O 0.732 0.098 0.765
O 0.745 0.511 0.894
O 0.756 0.000 0.395
O 0.954 0.253 0.071
O 0.972 0.833 0.658

---

It is version x that is the least stable of them.

---

Version w
Compound: NbVO5
Source: the Materials Project database
Functional: PBE+U
Structure: optimized geometry

Space group: P4/n (85)

Unit cell a=6.880 b=6.880 c=4.299 alpha=90.00 beta=90.00 gamma=90.00
Fractional coordinates of all 14 atoms:
Nb 0.000 0.500 0.798
Nb 0.500 0.000 0.202
V 0.500 0.500 0.500
V 0.000 0.000 0.500
O 0.492 0.290 0.276
O 0.710 0.492 0.724
O 0.000 0.500 0.212
O 0.290 0.508 0.724
O 0.508 0.710 0.276
O 0.992 0.790 0.724
O 0.210 0.992 0.276
O 0.500 0.000 0.788
O 0.790 0.008 0.276
O 0.008 0.210 0.724

---

Version x
Compound: NbVO5
Source: the Materials Project database
Functional: PBE+U
Structure: optimized geometry

Space group: P2_1/c (14)

Unit cell a=5.577 b=14.047 c=14.076 alpha=59.61 beta=90.00 gamma=90.00
Fractional coordinates of all 56 atoms:
Nb 0.742 0.941 0.857
Nb 0.758 0.941 0.357
Nb 0.247 0.559 0.799
Nb 0.747 0.441 0.701
Nb 0.253 0.559 0.299
Nb 0.753 0.441 0.201
Nb 0.242 0.059 0.643
Nb 0.258 0.059 0.143
V 0.266 0.846 0.562
V 0.760 0.654 0.907
V 0.234 0.846 0.062
V 0.740 0.654 0.407
V 0.260 0.346 0.593
V 0.766 0.154 0.938
V 0.240 0.346 0.093
V 0.734 0.154 0.438
O 0.033 0.991 0.767
O 0.455 0.884 0.965
O 0.242 0.925 0.626
O 0.746 0.795 0.868
O 0.467 0.991 0.267
O 0.045 0.884 0.465
O 0.542 0.867 0.501
O 0.037 0.624 0.874
O 0.540 0.626 0.841
O 0.230 0.705 0.663
O 0.258 0.925 0.126
O 0.754 0.795 0.368
O 0.284 0.426 0.950
O 0.974 0.501 0.762
O 0.474 0.499 0.738
O 0.958 0.867 0.001
O 0.784 0.574 0.550
O 0.463 0.624 0.374
O 0.960 0.626 0.341
O 0.270 0.705 0.163
O 0.730 0.295 0.837
O 0.040 0.374 0.659
O 0.537 0.376 0.626
O 0.216 0.426 0.450
O 0.042 0.133 0.999
O 0.526 0.501 0.262
O 0.026 0.499 0.238
O 0.716 0.574 0.050
O 0.246 0.205 0.632
O 0.742 0.075 0.874
O 0.770 0.295 0.337
O 0.460 0.374 0.159
O 0.963 0.376 0.126
O 0.458 0.133 0.499
O 0.955 0.116 0.535
O 0.533 0.009 0.733
O 0.254 0.205 0.132
O 0.758 0.075 0.374
O 0.545 0.116 0.035
O 0.967 0.009 0.233

---

It is version w that is the least stable of them.

---

Version w
Compound: Li2Ti3CoO8
Source: the Materials Project database
Functional: PBE+U
Structure: optimized geometry

Space group: P2_13 (198)

Unit cell a=8.445 b=8.445 c=8.445 alpha=90.00 beta=90.00 gamma=90.00
Fractional coordinates of all 56 atoms:
Li 0.498 0.498 0.498
Li 0.502 0.998 0.002
Li 0.624 0.376 0.876
Li 0.876 0.624 0.376
Li 0.002 0.502 0.998
Li 0.998 0.002 0.502
Li 0.124 0.124 0.124
Li 0.376 0.876 0.624
Ti 0.635 0.620 0.128
Ti 0.620 0.128 0.635
Ti 0.628 0.865 0.380
Ti 0.880 0.872 0.135
Ti 0.872 0.135 0.880
Ti 0.865 0.380 0.628
Ti 0.128 0.635 0.620
Ti 0.135 0.880 0.872
Ti 0.120 0.372 0.365
Ti 0.380 0.628 0.865
Ti 0.372 0.365 0.120
Ti 0.365 0.120 0.372
Co 0.752 0.752 0.752
Co 0.748 0.248 0.252
Co 0.252 0.748 0.248
Co 0.248 0.252 0.748
O 0.628 0.890 0.608
O 0.639 0.861 0.139
O 0.644 0.359 0.623
O 0.610 0.392 0.128
O 0.608 0.628 0.890
O 0.623 0.644 0.359
O 0.641 0.123 0.856
O 0.612 0.112 0.388
O 0.890 0.608 0.628
O 0.856 0.641 0.123
O 0.888 0.888 0.888
O 0.859 0.877 0.356
O 0.861 0.139 0.639
O 0.872 0.110 0.108
O 0.877 0.356 0.859
O 0.892 0.372 0.390
O 0.139 0.639 0.861
O 0.123 0.856 0.641
O 0.108 0.872 0.110
O 0.110 0.108 0.872
O 0.112 0.388 0.612
O 0.141 0.377 0.144
O 0.128 0.610 0.392
O 0.144 0.141 0.377
O 0.359 0.623 0.644
O 0.388 0.612 0.112
O 0.356 0.859 0.877
O 0.392 0.128 0.610
O 0.377 0.144 0.141
O 0.372 0.390 0.892
O 0.390 0.892 0.372
O 0.361 0.361 0.361

---

Version x
Compound: Li2Ti3CoO8
Source: the Materials Project database
Functional: PBE+U
Structure: optimized geometry

Space group: P1 (1)

Unit cell a=5.945 b=10.298 c=9.770 alpha=89.99 beta=90.02 gamma=90.01
Fractional coordinates of all 56 atoms:
Li 0.000 0.333 0.890
Li 0.500 0.833 0.890
Li 0.500 0.167 0.390
Li 0.000 0.667 0.390
Li 0.000 0.000 0.999
Li 0.500 0.500 0.999
Li 0.000 0.000 0.499
Li 0.500 0.500 0.499
Ti 0.753 0.415 0.216
Ti 0.253 0.916 0.215
Ti 0.000 0.169 0.216
Ti 0.500 0.669 0.215
Ti 0.247 0.415 0.215
Ti 0.747 0.916 0.215
Ti 0.253 0.084 0.715
Ti 0.753 0.585 0.716
Ti 0.500 0.331 0.715
Ti 0.000 0.832 0.716
Ti 0.747 0.084 0.715
Ti 0.247 0.585 0.716
Co 0.499 0.831 0.491
Co 0.502 0.165 0.991
Co 0.000 0.334 0.497
Co 0.000 0.667 0.997
O 0.000 0.333 0.105
O 0.500 0.834 0.104
O 0.500 0.167 0.605
O 0.000 0.667 0.605
O 0.000 0.000 0.315
O 0.500 0.500 0.315
O 0.500 0.500 0.815
O 0.000 0.000 0.815
O 0.737 0.421 0.606
O 0.238 0.921 0.608
O 0.000 0.158 0.607
O 0.500 0.658 0.607
O 0.237 0.079 0.107
O 0.737 0.579 0.107
O 0.263 0.421 0.607
O 0.763 0.921 0.607
O 0.500 0.342 0.107
O 0.000 0.842 0.106
O 0.762 0.079 0.107
O 0.263 0.579 0.106
O 0.776 0.259 0.328
O 0.276 0.759 0.328
O 0.000 0.483 0.328
O 0.500 0.982 0.329
O 0.224 0.259 0.328
O 0.724 0.759 0.328
O 0.277 0.241 0.829
O 0.776 0.741 0.828
O 0.500 0.018 0.829
O 0.000 0.517 0.828
O 0.724 0.241 0.828
O 0.224 0.741 0.828

---

It is version x that is the least stable of them.